4
Lattice="0.000 3.376 3.376 3.377 0.000 3.376 3.376 3.376 0.000" Properties=species:S:1:pos:R:3 comment="meta-GGA r2SCAN Lu2ZnRu, relaxed" e_tot_ev_per_atom=-28.11 pbc="T T T"
Lu 3.377 3.376 3.376
Lu 3.376 6.752 3.376
Zn 5.065 5.065 5.064
Ru 1.688 1.688 1.688

36
Lattice="-4.929 -1.860 4.673 4.221 -2.130 3.605 5.025 7.061 8.111" Properties=species:S:1:pos:R:3 comment="meta-GGA r2SCAN NaYF4, relaxed" e_tot_ev_per_atom=-10.06 pbc="T T T"
Na 6.245 4.071 9.911
Na 3.511 3.526 7.802
Na 2.802 0.403 6.699
Na 0.385 -0.723 9.029
Na -1.427 -0.920 6.047
Na 3.713 3.329 12.272
F 0.717 3.031 12.351
F 2.621 -1.115 4.973
F 0.233 -2.006 4.573
F 2.528 -1.144 2.405
F 2.933 3.887 10.192
F 2.667 1.484 11.366
F 2.925 1.281 3.821
F 2.577 1.461 8.788
F 5.135 2.372 9.017
F -1.251 0.300 3.849
F 0.290 0.594 10.963
F -0.101 1.436 8.436
F 2.308 2.484 6.108
F 2.374 -0.830 10.154
F 1.010 1.143 1.711
F 0.647 0.442 5.922
F 1.023 3.741 8.131
F 7.369 3.637 11.856
F 4.764 0.139 7.721
F 4.886 5.900 10.145
F -1.230 2.880 10.272
F 0.160 -2.088 7.296
F 4.799 2.735 14.125
F 2.385 5.095 12.472
Y 2.503 3.518 4.069
Y 4.265 0.480 9.995
Y 1.018 -0.004 3.704
Y 0.112 5.198 12.772
Y 1.750 -3.051 5.941
Y 1.045 2.588 10.115

22
Lattice="-1.302 4.323 2.589 -5.372 -0.454 -1.958 -2.617 -5.908 8.548" Properties=species:S:1:pos:R:3 comment="meta-GGA r2SCAN Au3F8, relaxed" e_tot_ev_per_atom=-17.16 pbc="T T T"
F -7.031 -1.053 6.954
F -6.841 -2.741 9.150
F -2.451 0.703 0.030
F -2.310 1.772 2.623
F -4.223 -1.881 9.539
F -2.261 -0.985 2.226
F -2.310 -1.981 4.935
F -5.456 -2.459 4.647
F -4.833 -1.719 1.945
F -6.982 -3.811 6.557
F -4.458 -0.319 7.235
F -3.835 0.421 4.533
F -6.982 -0.058 4.245
F -3.787 -3.199 6.944
F -5.069 -0.158 -0.359
F -5.504 1.161 2.236
Au -3.995 -3.181 3.295
Au -7.338 -3.075 4.757
Au -5.671 -1.519 8.235
Au -1.954 1.036 4.423
Au -3.620 -0.519 0.945
Au -0.651 2.162 1.295

Please write out number 1 again, unchanged.
4
Lattice="0.000 3.376 3.376 3.377 0.000 3.376 3.376 3.376 0.000" Properties=species:S:1:pos:R:3 comment="meta-GGA r2SCAN Lu2ZnRu, relaxed" e_tot_ev_per_atom=-28.11 pbc="T T T"
Lu 3.377 3.376 3.376
Lu 3.376 6.752 3.376
Zn 5.065 5.065 5.064
Ru 1.688 1.688 1.688